Entry 1:
## BaGdInWO6 (PBE with a Hubbard U)

Data for a relaxed BaGdInWO6 crystal.

Properties
Total energy = -7.985 eV/atom
Volume = 15.525 Å³ per atom
Excess energy over the best structure of this formula in the dataset = 2 meV/atom
Theoretical density = 7.4 g/cm3
Energy of formation from the pure elements = -2702 meV/atom

Unit cell a=8.5172 b=8.5291 c=8.5486 alpha=90.00 beta=90.00 gamma=90.00
With the nearest neighbours (Å) after each atom.
Space group Pnnn (No. 48, origin choice 2)
Asymmetric unit:
Ba 0.2500 0.2500 0.2500 [2 per cell]  12 O 2.87-3.15
Ba 0.2500 0.2500 0.7500 [2 per cell]  12 O 2.94-3.08
Gd 0.0000 0.0000 0.0000 [4 per cell]  6 O 2.30-2.32
In 0.2500 0.7500 0.2500 [2 per cell]  12 O 2.89-3.16
In 0.2500 0.7500 0.7500 [2 per cell]  12 O 2.88-3.18
W 0.0000 0.0000 0.5000 [4 per cell]  6 O 1.96-1.97
O 0.0049 0.7294 0.0168 [8 per cell]  1 W 1.96
O 0.0069 0.5159 0.7710 [8 per cell]  1 W 1.96
O 0.2303 0.0198 0.4944 [8 per cell]  1 W 1.97

=====

Entry 2:
## BaGdInWO6 (PBE with a Hubbard U)

Data for a relaxed BaGdInWO6 crystal.

Properties
Total energy = -7.988 eV/atom
Volume = 15.524 Å³ per atom
Excess energy over the best structure of this formula in the dataset = 0 meV/atom
Theoretical density = 7.4 g/cm3
Energy of formation from the pure elements = -2704 meV/atom

Unit cell a=8.5314 b=8.5314 c=8.5314 alpha=90.00 beta=90.00 gamma=90.00
With the nearest neighbours (Å) after each atom.
Space group F-43m (No. 216)
Asymmetric unit:
Ba 0.0000 0.0000 0.0000 [4 per cell]  12 O 3.02
Gd 0.2500 0.2500 0.2500 [4 per cell]  6 O 2.30
In 0.0000 0.0000 0.5000 [4 per cell]  12 O 3.02
W 0.2500 0.2500 0.7500 [4 per cell]  6 O 1.96
O 0.0199 0.2500 0.7500 [24 per cell]  1 W 1.96

=====

Entry 3:
## KBaGdMo3O12 (PBE with a Hubbard U)

Data for a relaxed KBaGdMo3O12 crystal.

Properties
Total energy = -7.633 eV/atom
Volume = 15.857 Å³ per atom
Theoretical density = 4.7 g/cm3
Energy of formation from the pure elements = -2568 meV/atom

Unit cell a=17.6832 b=12.4085 c=5.4179 alpha=90.00 beta=106.19 gamma=90.00
With the nearest neighbours (Å) after each atom.
Space group C2 (No. 5)
Asymmetric unit:
K 0.1642 0.0000 0.1728 [4 per cell]  8 O 2.75-2.94
Ba 0.1661 0.2505 0.6743 [4 per cell]  8 O 2.70-2.91
Gd 0.0000 0.5107 0.5000 [2 per cell]  8 O 2.42-2.47
Gd 0.0000 0.7486 0.0000 [2 per cell]  8 O 2.36-2.54
Mo 0.0000 0.2772 0.0000 [2 per cell]  4 O 1.78-1.83
Mo 0.0000 0.9769 0.5000 [2 per cell]  4 O 1.78-1.82
Mo 0.1562 0.7370 0.6492 [4 per cell]  4 O 1.77-1.89
Mo 0.1565 0.5164 0.1499 [4 per cell]  4 O 1.76-1.88
O 0.0394 0.3561 0.7798 [4 per cell]  1 Mo 1.83
O 0.0386 0.8952 0.2833 [4 per cell]  1 Mo 1.82
O 0.0754 0.6641 0.4042 [4 per cell]  1 Mo 1.89
O 0.0756 0.5870 0.9046 [4 per cell]  1 Mo 1.88
O 0.0782 0.0614 0.6748 [4 per cell]  1 Mo 1.78
O 0.0786 0.1944 0.1766 [4 per cell]  1 Mo 1.78
O 0.1112 0.4389 0.3563 [4 per cell]  1 Mo 1.82
O 0.1112 0.8124 0.8551 [4 per cell]  1 Mo 1.80
O 0.2052 0.4264 0.9931 [4 per cell]  1 Mo 1.76
O 0.2070 0.8249 0.4935 [4 per cell]  1 Mo 1.77
O 0.2298 0.5964 0.3620 [4 per cell]  1 Mo 1.78
O 0.2301 0.6583 0.8648 [4 per cell]  1 Mo 1.78

=====

Entry 4:
## BaLiGd2Mo4O16 (PBE with a Hubbard U)

Data for a relaxed BaLiGd2Mo4O16 crystal.

Properties
Total energy = -8.048 eV/atom
Volume = 13.852 Å³ per atom
Theoretical density = 5.5 g/cm3
Energy of formation from the pure elements = -2601 meV/atom

Unit cell a=5.3198 b=12.8367 c=19.4789 alpha=90.00 beta=91.33 gamma=90.00
With the nearest neighbours (Å) after each atom.
Space group C2/c (No. 15)
Asymmetric unit:
Ba 0.0000 0.0285 0.2500 [4 per cell]  8 O 2.71-3.01
Li 0.0000 0.3182 0.2500 [4 per cell]  4 O 2.03-2.20
Gd 0.0001 0.1443 0.0322 [8 per cell]  8 O 2.38-2.53
Mo 0.0012 0.2608 0.6500 [8 per cell]  4 O 1.77-1.85
Mo 0.0097 0.4395 0.0930 [8 per cell]  4 O 1.79-1.88
O 0.1294 0.4150 0.3255 [8 per cell]  1 Mo 1.79
O 0.1430 0.1453 0.8200 [8 per cell]  1 Mo 1.77
O 0.1594 0.3293 0.0450 [8 per cell]  1 Mo 1.88
O 0.1640 0.2397 0.5684 [8 per cell]  1 Mo 1.85
O 0.2296 0.3004 0.7134 [8 per cell]  1 Mo 1.79
O 0.2388 0.0182 0.5359 [8 per cell]  1 Mo 1.88
O 0.2408 0.4556 0.6054 [8 per cell]  1 Mo 1.84
O 0.2467 0.1464 0.1364 [8 per cell]  1 Mo 1.82

=====

Entry 5:
## Ba2GdMgMoO6 (PBE with a Hubbard U)

Data for a relaxed Ba2GdMgMoO6 crystal.

Properties
Total energy = -7.476 eV/atom
Volume = 16.393 Å³ per atom
Theoretical density = 6.0 g/cm3
Energy of formation from the pure elements = -2683 meV/atom

Unit cell a=6.1254 b=6.1895 c=6.2309 alpha=65.13 beta=89.96 gamma=60.61
With the nearest neighbours (Å) after each atom.
Space group P-1 (No. 2)
Asymmetric unit:
Ba 0.1764 0.1130 0.1376 [2 per cell]  4 O 2.61-2.86
Gd 0.0000 0.5000 0.5000 [1 per cell]  4 O 2.23-2.25
Mg 0.5000 0.5000 0.5000 [1 per cell]  4 O 2.02-2.05
Mo 0.5000 0.5000 0.0000 [1 per cell]  6 O 2.14-2.28
O 0.2203 0.9793 0.7870 [2 per cell]  1 Mo 2.28, 1 Gd 2.51
O 0.2775 0.4876 0.2656 [2 per cell]  1 Mg 2.05, 1 Mo 2.14, 1 Gd 2.23
O 0.2937 0.4629 0.7518 [2 per cell]  1 Mg 2.02, 1 Mo 2.15, 1 Gd 2.25

=====

Entry 6:
## Ba5Gd8Mn4O21 (PBE with a Hubbard U)

Data for a relaxed Ba5Gd8Mn4O21 crystal.

Properties
Total energy = -8.180 eV/atom
Volume = 15.434 Å³ per atom
Theoretical density = 7.1 g/cm3
Energy of formation from the pure elements = -1821 meV/atom

Unit cell a=14.1599 b=14.1599 c=5.8504 alpha=90.00 beta=90.00 gamma=90.00
With the nearest neighbours (Å) after each atom.
Space group I4/m (No. 87)
Asymmetric unit:
Ba 0.0000 0.0000 0.0000 [2 per cell]  10 O 2.93-2.99
Ba 0.0328 0.3620 0.5000 [8 per cell]  4 O 2.67-2.93
Gd 0.0896 0.8584 0.5000 [8 per cell]  7 O 2.34-2.49
Gd 0.1694 0.2481 0.0000 [8 per cell]  6 O 2.31-2.47
Mn 0.0402 0.7505 0.0000 [8 per cell]  5 O 2.07-2.17
O 0.0000 0.0000 0.5000 [2 per cell]  4 Gd 2.37
O 0.0353 0.3747 0.0000 [8 per cell]  1 Mn 2.07
O 0.0477 0.1780 0.2498 [16 per cell]  1 Mn 2.17, 1 Gd 2.34
O 0.1488 0.7424 0.2492 [16 per cell]  1 Mn 2.12, 2 Gd 2.31-2.36

=====

Entry 7:
## Ba2GdMoO6 (PBE with a Hubbard U)

Data for a relaxed Ba2GdMoO6 crystal.

Properties
Total energy = -8.153 eV/atom
Volume = 15.800 Å³ per atom
Theoretical density = 6.6 g/cm3
Energy of formation from the pure elements = -3041 meV/atom

Unit cell a=6.0422 b=6.0538 c=6.0582 alpha=119.58 beta=119.48 gamma=90.67
With the nearest neighbours (Å) after each atom.
Space group P-1 (No. 2)
Asymmetric unit:
Ba 0.2467 0.2483 0.4973 [2 per cell]  11 O 2.87-3.17
Gd 0.5000 0.0000 0.0000 [1 per cell]  6 O 2.28-2.30
Mo 0.0000 0.5000 0.0000 [1 per cell]  6 O 1.97-2.05
O 0.2134 0.7600 0.0130 [2 per cell]  1 Mo 1.97
O 0.2237 0.7348 0.4736 [2 per cell]  1 Mo 2.05, 1 Gd 2.28
O 0.2589 0.2869 0.0089 [2 per cell]  1 Mo 2.04, 1 Gd 2.28

=====

Entry 8:
## Ba2GdMoO6 (PBE with a Hubbard U)

Data for a relaxed Ba2GdMoO6 crystal.

Properties
Total energy = -8.121 eV/atom
Volume = 15.685 Å³ per atom
Theoretical density = 6.6 g/cm3
Energy of formation from the pure elements = -3009 meV/atom

Unit cell a=6.0274 b=6.0274 c=8.6350 alpha=90.00 beta=90.00 gamma=90.00
With the nearest neighbours (Å) after each atom.
Space group I4/m (No. 87)
Asymmetric unit:
Ba 0.0000 0.5000 0.2500 [4 per cell]  12 O 2.88-3.20
Gd 0.0000 0.0000 0.0000 [2 per cell]  6 O 2.27-2.30
Mo 0.0000 0.0000 0.5000 [2 per cell]  6 O 1.99-2.04
O 0.0000 0.0000 0.2632 [4 per cell]  1 Mo 2.04, 1 Gd 2.27
O 0.2046 0.2581 0.5000 [8 per cell]  1 Mo 1.99

=====

Number 6 is which compound? Ba5Gd8Mn4O21

=====

Which formula does entry 7 have? Ba2GdMoO6